Record 1
Computed, not measured: a geometry-optimized V3Cu2TeP6O24 structure at the PBE with a Hubbard U level of DFT.

The structure in POSCAR format:
```
V3Cu2TeP6O24
1.0
4.356 2.515 7.138
-4.356 2.515 7.138
0.000 -5.030 7.138
V Cu Te P O
3 2 1 6 24
Cartesian
0.000 0.000 0.000
0.000 0.000 4.573
0.000 0.000 15.286
0.000 0.000 7.573
0.000 0.000 18.346
0.000 0.000 10.711
-3.164 0.323 9.388
-1.294 -2.261 13.043
1.303 -2.902 9.388
-1.312 2.251 13.043
1.861 2.579 9.388
2.605 0.010 13.043
-3.612 1.067 8.127
-0.864 -1.227 5.925
-2.840 -2.426 13.020
-3.566 1.042 10.684
0.882 -3.662 8.127
-1.611 0.194 9.232
-0.631 1.362 5.925
-0.983 -1.558 11.705
0.880 -3.609 10.684
0.638 -1.492 9.232
1.495 -0.135 5.925
-0.770 -1.478 14.253
-0.858 1.631 11.705
-1.503 -0.214 16.588
0.973 1.298 9.232
-0.895 1.406 14.253
1.841 -0.072 11.705
-0.681 3.673 13.020
0.937 -1.195 16.588
1.665 0.072 14.253
2.730 2.595 8.127
3.521 -1.246 13.020
0.566 1.409 16.588
2.685 2.567 10.684
```

spin magnetization: 0.084 μB/atom
energy of formation: -2309 meV/atom


Record 2
Computed, not measured: a geometry-optimized CoP4H16N2O16 structure at the PBE with a Hubbard U level of DFT.

The structure in POSCAR format:
```
CoP4H16N2O16
1.0
7.165 0.000 0.000
-0.003 7.401 0.000
-2.552 -1.210 7.292
Co P H N O
1 4 16 2 16
Cartesian
0.000 0.000 0.000
-0.721 0.951 5.384
1.096 4.996 1.905
3.513 1.195 5.388
5.331 5.240 1.909
-0.026 1.099 2.492
0.356 2.253 1.445
-0.787 2.392 7.101
0.242 5.673 6.007
0.442 3.990 5.914
1.362 4.996 4.919
1.629 1.029 4.191
2.949 1.233 0.697
1.660 4.958 6.596
2.981 5.162 3.101
3.247 1.195 2.374
4.167 2.201 1.378
4.367 0.518 1.286
5.396 3.799 0.191
4.253 3.938 5.847
4.635 5.092 4.800
0.930 4.904 5.862
3.680 1.287 1.430
-0.105 1.375 1.543
-0.378 5.021 2.585
-0.799 -0.196 6.388
1.236 3.682 1.142
0.210 0.769 4.207
1.340 6.245 1.093
-0.364 2.292 6.133
1.954 4.970 3.226
2.655 1.221 4.067
4.973 3.899 1.159
3.269 -0.054 6.199
4.400 5.422 3.086
3.373 2.509 6.150
5.409 6.387 0.904
4.987 1.170 4.707
4.714 4.816 5.749
```

energy of formation: -1649 meV/atom


Record 3
Computed, not measured: a geometry-optimized Li2TiVO4 structure at the PBE with a Hubbard U level of DFT.

The structure in POSCAR format:
```
Li2TiVO4
1.0
5.199 -2.974 0.000
5.199 2.974 0.000
-3.378 0.000 9.802
Li Ti V O
8 4 4 16
Cartesian
0.000 0.000 0.000
6.121 -1.482 4.889
1.756 0.000 2.452
3.512 0.000 4.887
7.789 1.478 0.006
6.121 1.482 4.889
5.276 0.000 7.357
7.789 -1.478 0.006
4.329 1.494 2.470
2.699 1.494 7.322
4.329 -1.494 2.470
2.699 -1.494 7.322
-1.663 0.000 4.937
0.081 0.000 7.368
1.800 0.000 9.792
6.931 0.000 2.421
-1.714 0.000 8.483
-0.014 0.000 3.585
2.737 1.511 3.602
1.075 1.446 8.547
5.937 1.443 1.236
4.311 1.483 6.218
3.542 0.000 1.295
1.865 0.000 6.208
5.161 0.000 3.588
3.462 0.000 8.512
1.075 -1.446 8.547
2.737 -1.511 3.602
5.937 -1.443 1.236
4.311 -1.483 6.218
8.733 0.000 1.311
7.045 0.000 6.221
```

spin magnetization: 0.012 μB/atom
distance to the lowest polymorph of the same formula: 5 meV/atom
energy of formation: -2747 meV/atom


Record 4
Computed, not measured: a geometry-optimized LiNb7V12O48 structure at the PBE with a Hubbard U level of DFT.

The structure in POSCAR format:
```
LiNb7V12O48
1.0
5.199 0.000 0.000
0.037 10.638 0.000
0.523 0.025 17.876
Li Nb V O
1 7 12 48
Cartesian
0.000 0.000 0.000
1.400 5.085 17.032
1.999 10.397 8.052
3.009 1.803 13.127
3.072 8.467 13.146
2.846 3.184 3.973
5.178 8.503 3.159
5.382 5.157 8.914
0.353 2.696 6.382
0.575 10.446 11.564
0.420 7.485 6.445
2.812 5.133 13.586
2.468 8.014 0.832
2.482 2.096 0.710
2.938 2.806 9.728
2.811 10.400 4.634
2.981 7.442 9.774
5.475 2.101 15.455
5.530 8.160 15.490
5.232 5.107 2.620
1.115 9.131 16.534
0.831 1.208 7.221
0.878 9.015 7.341
0.788 6.601 3.004
1.020 10.447 9.850
1.221 1.142 16.355
1.379 2.256 14.002
1.047 8.900 1.557
1.454 8.038 14.059
1.174 3.886 3.069
1.514 5.129 12.622
1.217 1.122 1.134
1.748 3.841 9.004
1.761 6.410 9.069
1.660 9.213 4.215
1.726 3.490 5.696
1.754 6.703 5.989
2.117 10.446 12.627
2.355 5.146 15.306
2.042 1.259 4.272
2.449 3.695 17.775
1.950 6.520 0.015
2.325 7.968 11.266
2.308 2.296 11.250
3.134 1.349 8.791
3.108 10.363 6.388
3.195 8.914 8.837
3.812 8.970 17.658
3.362 2.512 2.298
3.712 3.600 13.233
3.726 6.654 13.218
3.645 7.796 2.192
4.099 1.302 17.629
4.015 1.283 14.668
4.066 8.953 14.696
3.801 4.866 3.677
4.383 3.805 9.997
4.418 6.464 10.103
4.243 10.184 3.585
4.348 2.470 5.129
4.709 1.119 11.952
4.741 9.131 11.964
4.717 6.357 7.533
4.682 7.864 4.989
4.828 3.831 7.465
5.358 3.700 16.183
4.918 5.059 0.917
5.371 6.588 16.216
```

spin magnetization: 0.000 μB/atom
energy of formation: -2534 meV/atom


Record 5
Computed, not measured: a geometry-optimized Li13Mn2O12 structure at the PBE with a Hubbard U level of DFT.

The structure in POSCAR format:
```
Li13Mn2O12
1.0
5.642 0.000 0.000
-2.810 4.947 0.000
-2.691 -1.530 9.057
Li Mn O
13 2 12
Cartesian
0.000 0.000 0.000
-2.942 2.246 4.547
-1.508 2.598 0.701
-1.938 0.638 6.158
-3.189 2.972 7.139
-0.237 1.253 2.581
-1.069 3.396 3.674
-0.842 0.150 8.320
2.312 0.775 1.596
-0.309 2.704 6.049
1.621 -0.136 7.211
1.767 3.068 2.537
3.651 -0.002 3.838
0.650 0.515 4.898
0.668 3.761 0.330
-2.942 4.050 3.870
-2.735 0.682 8.428
-1.028 1.570 4.530
-3.632 3.220 9.031
-0.180 -0.082 6.531
-0.119 3.210 2.020
-1.269 2.841 7.747
1.582 1.200 3.320
2.299 -0.472 5.259
2.272 2.784 0.734
1.452 1.901 5.957
4.208 0.358 1.319
```

spin magnetization: 0.172 μB/atom
energy of formation: -1916 meV/atom


Record 6
Computed, not measured: a geometry-optimized MgMnV3O8 structure at the PBE with a Hubbard U level of DFT.

The structure in POSCAR format:
```
MgMnV3O8
1.0
5.437 0.000 0.000
-0.134 5.637 0.000
-0.085 -0.235 6.923
Mg Mn V O
1 1 3 8
Cartesian
0.000 0.000 0.000
2.769 2.021 0.036
0.083 2.740 1.780
2.485 4.659 5.141
5.310 -0.059 3.399
1.627 5.167 3.736
1.806 2.668 1.645
1.874 -0.103 6.493
2.232 3.010 5.408
4.283 5.030 5.118
4.758 1.817 0.378
4.963 1.745 3.206
5.029 4.596 1.703
```

spin magnetization: 0.615 μB/atom
distance to the lowest polymorph of the same formula: 26 meV/atom
energy of formation: -2353 meV/atom


Record 7
Computed, not measured: a geometry-optimized Li2V3SnO8 structure at the PBE with a Hubbard U level of DFT.

The structure in POSCAR format:
```
Li2V3SnO8
1.0
5.990 0.000 0.000
0.008 6.047 0.000
0.062 0.002 8.645
Li V Sn O
4 6 2 16
Cartesian
0.000 0.000 0.000
1.462 3.018 0.961
3.029 3.011 4.323
4.493 6.031 5.284
1.473 1.369 6.539
1.531 4.573 6.521
2.958 6.035 8.583
4.439 1.638 2.218
4.497 4.482 2.198
5.918 3.020 4.260
1.418 0.008 3.291
4.445 3.000 7.615
0.092 2.981 6.420
0.207 0.083 6.426
1.457 4.419 4.432
1.472 1.626 4.453
1.606 4.634 8.453
1.630 1.449 8.406
2.853 2.982 6.400
2.903 0.055 6.515
3.054 0.024 2.098
3.178 2.925 2.102
4.424 4.637 0.107
4.435 1.381 0.132
4.567 4.419 4.130
4.597 1.557 4.083
5.815 0.025 2.078
5.873 2.951 2.193
```

spin magnetization: 0.000 μB/atom
distance to the lowest polymorph of the same formula: 59 meV/atom
energy of formation: -2371 meV/atom


Record 8
Computed, not measured: a geometry-optimized AlVTe2O8 structure at the PBE with a Hubbard U level of DFT.

The structure in POSCAR format:
```
AlVTe2O8
1.0
8.105 0.000 0.000
0.000 4.919 0.000
-6.911 0.000 16.545
Al V Te O
4 4 8 32
Cartesian
-1.136 1.214 2.894
-4.592 1.245 11.167
5.786 3.674 5.378
2.330 3.705 13.650
-0.775 1.107 7.074
-4.231 1.352 15.346
5.424 3.567 1.199
1.969 3.812 9.471
1.180 3.249 1.159
-2.276 4.130 9.431
-2.759 3.598 12.862
0.697 3.781 4.590
0.497 1.138 11.955
3.952 1.321 3.682
3.470 0.789 7.114
0.014 1.670 15.386
-3.738 0.407 9.620
-0.282 2.052 1.347
-5.440 0.221 14.888
-1.984 2.239 6.616
-0.938 2.801 4.141
-4.394 4.578 12.414
-4.198 2.801 14.240
-0.742 4.578 5.968
0.360 0.383 3.532
-3.095 2.077 11.804
-1.019 0.547 8.814
2.437 1.913 0.542
1.765 3.005 2.979
-1.691 4.374 11.252
-2.757 0.634 15.206
0.699 1.825 6.933
0.495 3.094 9.611
3.951 4.285 1.339
2.884 0.545 5.293
-0.571 1.914 13.565
-1.243 3.006 16.002
2.213 4.373 7.730
4.289 2.842 4.740
0.833 4.536 13.013
1.936 0.341 10.577
5.391 2.118 2.304
5.587 0.342 4.131
2.132 2.118 12.403
3.178 2.681 9.929
6.633 4.698 1.657
1.476 2.867 15.197
4.932 4.512 6.925
```

spin magnetization: 0.001 μB/atom
energy of formation: -2137 meV/atom


Record 9
Computed, not measured: a geometry-optimized MgMn3VCr2P6O24 structure at the PBE with a Hubbard U level of DFT.

The structure in POSCAR format:
```
MgMn3VCr2P6O24
1.0
8.368 0.000 0.000
3.964 7.527 0.000
3.959 2.505 7.203
Mg Mn V Cr P O
1 3 1 2 6 24
Cartesian
0.000 0.000 0.000
5.596 5.495 5.411
6.629 5.885 0.409
10.737 3.417 3.901
9.849 7.992 1.869
8.083 6.852 6.429
8.334 1.959 2.927
2.743 1.635 1.014
5.304 2.185 4.573
8.230 5.411 3.294
11.184 5.251 6.935
13.613 8.743 6.097
12.384 5.937 2.483
6.221 7.539 5.972
5.070 6.134 3.523
4.462 5.596 0.987
3.986 2.376 3.814
1.919 0.447 0.469
3.032 2.778 0.003
5.856 3.469 5.119
8.931 8.707 5.774
7.749 5.832 4.716
4.103 1.098 1.469
7.153 5.204 2.258
9.995 6.252 6.815
6.374 1.538 3.616
9.274 6.446 2.870
12.162 8.468 6.367
8.853 3.946 3.479
7.128 2.013 1.174
10.301 7.108 0.007
11.167 4.109 5.894
12.536 5.913 6.921
9.629 1.913 4.662
11.824 7.445 2.230
11.331 4.904 2.837
10.187 2.191 2.154
```

spin magnetization: 0.594 μB/atom
distance to the lowest polymorph of the same formula: 0 meV/atom
energy of formation: -2528 meV/atom


Record 10
Computed, not measured: a geometry-optimized Zn3Cr3As4O16 structure at the PBE with a Hubbard U level of DFT.

The structure in POSCAR format:
```
Zn3Cr3As4O16
1.0
8.803 0.000 0.000
0.000 5.260 0.000
-5.893 0.000 14.944
Zn Cr As O
6 6 8 32
Cartesian
0.000 0.000 0.000
-2.947 2.630 7.472
0.829 0.137 4.021
-2.117 2.492 11.493
5.027 2.767 3.451
2.080 5.122 10.924
-3.326 0.045 13.133
-0.380 2.585 5.661
1.455 0.000 7.472
4.402 2.630 0.000
3.290 2.674 9.283
6.236 5.215 1.811
-3.508 0.081 9.706
-0.562 2.549 2.234
3.044 0.008 1.556
0.098 2.622 9.029
2.812 2.638 5.916
-0.134 5.252 13.388
3.471 2.710 12.710
6.418 5.179 5.238
-3.479 3.624 9.520
-0.532 4.266 2.048
-2.643 0.963 8.560
0.304 1.667 1.088
-3.637 3.196 12.644
-0.690 4.694 5.171
-2.794 0.566 11.235
0.153 2.064 3.763
-0.872 2.928 7.620
2.075 4.962 0.148
-0.636 3.123 10.463
2.310 4.767 2.991
-1.528 1.059 13.618
1.419 1.571 6.146
0.803 1.054 9.093
3.749 1.576 1.621
-0.839 3.684 13.323
2.107 4.206 5.851
1.491 3.688 8.798
4.438 4.201 1.326
0.599 0.493 11.954
3.546 2.137 4.481
0.835 0.298 14.796
3.782 2.332 7.324
2.757 3.196 11.182
5.703 4.694 3.709
3.600 0.566 9.773
6.546 2.064 2.301
2.606 3.592 13.856
5.553 4.297 6.384
3.442 0.994 12.896
6.389 1.636 5.424
```

spin magnetization: 0.462 μB/atom
energy of formation: -1793 meV/atom


Number 1: total energy after the MP2020 corrections -7.5821 eV per atom. Number 2: total energy after the MP2020 corrections -6.2361 eV per atom. Number 3: total energy after the MP2020 corrections -7.8205 eV per atom. Number 4: total energy after the MP2020 corrections -8.6978 eV per atom. Number 5: total energy after the MP2020 corrections -5.7131 eV per atom. Number 6: total energy after the MP2020 corrections -8.3218 eV per atom. Number 7: total energy after the MP2020 corrections -7.7036 eV per atom. Number 8: total energy after the MP2020 corrections -7.0290 eV per atom. Number 9: total energy after the MP2020 corrections -8.1687 eV per atom. Number 10: total energy after the MP2020 corrections -6.8142 eV per atom.